Crystalline Na3ErP2O8 at its relaxed geometry. Source: the Materials Project, functional PBE.

The structure in POSCAR format:
```
Na3ErP2O8
1.0
0.896 3.426 -3.935
13.648 -2.321 1.089
-1.359 -13.755 -12.286
O Er Na P
64 8 24 16
direct
0.007 0.998 0.899
0.992 0.252 0.734
0.538 0.636 0.732
0.051 0.387 0.146
0.527 0.999 0.643
0.079 0.942 0.527
0.079 0.558 0.027
0.875 0.881 0.994
0.467 0.750 0.479
0.179 0.708 0.874
0.301 0.528 0.264
0.382 0.367 0.385
0.179 0.792 0.374
0.736 0.248 0.618
0.226 0.999 0.262
0.428 0.191 0.350
0.618 0.867 0.385
0.125 0.119 0.494
0.875 0.619 0.494
0.993 0.002 0.399
0.821 0.292 0.374
0.301 0.972 0.764
0.992 0.248 0.234
0.264 0.752 0.118
0.462 0.364 0.232
0.051 0.113 0.646
0.226 0.501 0.762
0.921 0.442 0.527
0.473 0.499 0.643
0.315 0.542 0.501
0.473 0.001 0.143
0.538 0.864 0.232
0.791 0.724 0.112
0.774 0.001 0.762
0.572 0.691 0.350
0.685 0.042 0.501
0.949 0.613 0.646
0.527 0.501 0.143
0.462 0.136 0.732
0.618 0.633 0.885
0.533 0.250 0.979
0.007 0.502 0.399
0.264 0.748 0.618
0.008 0.752 0.734
0.125 0.381 0.994
0.209 0.276 0.612
0.791 0.776 0.612
0.008 0.748 0.234
0.774 0.499 0.262
0.921 0.058 0.027
0.993 0.498 0.899
0.699 0.028 0.264
0.821 0.208 0.874
0.467 0.750 0.979
0.572 0.809 0.850
0.949 0.887 0.146
0.382 0.133 0.885
0.533 0.250 0.479
0.736 0.252 0.118
0.699 0.472 0.764
0.209 0.224 0.112
0.428 0.309 0.850
0.315 0.958 0.001
0.685 0.458 0.001
0.557 0.639 0.573
0.443 0.139 0.573
0.928 0.610 0.805
0.557 0.861 0.073
0.072 0.390 0.305
0.072 0.110 0.805
0.928 0.890 0.305
0.443 0.361 0.073
0.501 0.612 0.050
0.539 0.969 0.888
0.539 0.531 0.388
0.992 0.283 0.492
0.501 0.888 0.550
0.008 0.717 0.992
0.003 0.139 0.328
0.519 0.202 0.229
0.003 0.361 0.828
0.997 0.861 0.828
0.008 0.783 0.492
0.481 0.798 0.729
0.481 0.702 0.229
0.993 0.952 0.649
0.519 0.298 0.729
0.499 0.112 0.050
0.461 0.469 0.888
0.007 0.452 0.649
0.007 0.048 0.149
0.461 0.031 0.388
0.997 0.639 0.328
0.499 0.388 0.550
0.992 0.217 0.992
0.993 0.548 0.149
0.993 0.222 0.653
0.461 0.773 0.396
0.539 0.273 0.396
0.481 0.973 0.225
0.969 0.475 0.981
0.969 0.025 0.481
0.031 0.975 0.981
0.519 0.473 0.225
0.007 0.778 0.153
0.539 0.227 0.896
0.461 0.727 0.896
0.007 0.722 0.653
0.481 0.527 0.725
0.519 0.027 0.725
0.031 0.525 0.481
0.993 0.278 0.153
```

Results
total energy after the MP2020 corrections = -802.2 eV per cell
energy relative to the elements = -2.95 eV/atom
calculated volume = 12.14 Å³ per atom

Crystalline Gd3BeCrS7 at its relaxed geometry. Source: the Materials Project, functional PBE.

The structure in POSCAR format:
```
Gd3BeCrS7
1.0
4.866 -8.428 0.000
4.866 8.428 0.000
0.000 0.000 5.936
Cr S Be Gd
2 14 2 6
direct
0.000 0.000 0.482
0.000 0.000 0.982
0.483 0.589 0.975
0.224 0.079 0.227
0.333 0.667 0.485
0.855 0.776 0.227
0.894 0.483 0.475
0.411 0.894 0.975
0.776 0.921 0.727
0.145 0.224 0.727
0.079 0.855 0.727
0.667 0.333 0.985
0.921 0.145 0.227
0.589 0.106 0.475
0.517 0.411 0.475
0.106 0.517 0.975
0.333 0.667 0.837
0.667 0.333 0.337
0.390 0.139 0.753
0.610 0.861 0.253
0.139 0.749 0.253
0.251 0.390 0.253
0.861 0.251 0.753
0.749 0.610 0.753
```

Results
total energy after the MP2020 corrections = -214.1 eV per cell
energy relative to the elements = -1.87 eV/atom
calculated volume = 20.28 Å³ per atom

Crystalline PaBe13 at its relaxed geometry. Source: the Materials Project, functional PBE.

The structure in POSCAR format:
```
PaBe13
1.0
0.000 5.108 5.108
5.108 0.000 5.108
5.108 5.108 0.000
Be Pa
26 2
direct
0.291 0.940 0.709
0.709 0.940 0.060
0.791 0.440 0.560
0.440 0.560 0.791
0.560 0.791 0.440
0.791 0.209 0.440
0.791 0.560 0.209
0.209 0.440 0.791
0.060 0.291 0.709
0.560 0.440 0.209
0.291 0.060 0.940
0.940 0.060 0.709
0.209 0.560 0.440
0.060 0.709 0.940
0.000 0.000 0.000
0.560 0.209 0.791
0.440 0.791 0.209
0.060 0.940 0.291
0.291 0.709 0.060
0.209 0.791 0.560
0.940 0.709 0.291
0.709 0.291 0.940
0.500 0.500 0.500
0.709 0.060 0.291
0.440 0.209 0.560
0.940 0.291 0.060
0.250 0.250 0.250
0.750 0.750 0.750
```

Results
energy relative to the elements = -0.13 eV/atom
calculated volume = 9.52 Å³ per atom

Crystalline SiPdN2 at its relaxed geometry. Source: the Materials Project, functional PBE.

The structure in POSCAR format:
```
SiPdN2
1.0
-3.271 3.030 2.928
0.305 -7.129 7.719
10.057 5.940 5.088
N Pd Si
32 16 16
direct
0.593 0.438 0.093
0.457 0.301 0.488
0.926 0.519 0.803
0.093 0.062 0.907
0.407 0.938 0.407
0.907 0.562 0.593
0.236 0.188 0.317
0.074 0.019 0.697
0.236 0.312 0.817
0.957 0.199 0.512
0.907 0.938 0.093
0.426 0.519 0.697
0.574 0.019 0.803
0.043 0.699 0.988
0.264 0.812 0.817
0.093 0.438 0.407
0.043 0.801 0.488
0.926 0.981 0.303
0.543 0.699 0.512
0.264 0.688 0.317
0.957 0.301 0.012
0.457 0.199 0.988
0.074 0.481 0.197
0.736 0.312 0.683
0.407 0.562 0.907
0.764 0.812 0.683
0.764 0.688 0.183
0.574 0.481 0.303
0.426 0.981 0.197
0.736 0.188 0.183
0.543 0.801 0.012
0.593 0.062 0.593
0.386 0.736 0.670
0.386 0.764 0.170
0.886 0.736 0.830
0.244 0.531 0.055
0.886 0.764 0.330
0.756 0.031 0.445
0.614 0.236 0.830
0.114 0.264 0.170
0.256 0.031 0.055
0.614 0.264 0.330
0.744 0.969 0.945
0.256 0.469 0.555
0.756 0.469 0.945
0.244 0.969 0.555
0.744 0.531 0.445
0.114 0.236 0.670
0.661 0.276 0.071
0.661 0.224 0.571
0.161 0.224 0.929
0.161 0.276 0.429
0.839 0.776 0.071
0.339 0.724 0.929
0.339 0.776 0.429
0.754 0.521 0.194
0.254 0.521 0.306
0.754 0.979 0.694
0.254 0.979 0.806
0.246 0.021 0.306
0.246 0.479 0.806
0.746 0.021 0.194
0.746 0.479 0.694
0.839 0.724 0.571
```

Results
total energy after the MP2020 corrections = -460.6 eV per cell
energy relative to the elements = -0.38 eV/atom
calculated volume = 11.16 Å³ per atom

Crystalline ErInRh2 at its relaxed geometry. Source: the Materials Project, functional PBE.

The structure in POSCAR format:
```
ErInRh2
1.0
-3.344 -3.280 0.033
-4.483 1.220 -0.593
-2.226 -1.116 -3.968
Rh Er In
2 1 1
direct
0.250 0.250 0.250
0.750 0.750 0.750
0.000 0.000 0.000
0.500 0.500 0.500
```

Results
energy relative to the elements = -0.78 eV/atom
calculated volume = 18.17 Å³ per atom

Crystalline Th4P5O23 at its relaxed geometry. Source: the Materials Project, functional PBE.

The structure in POSCAR format:
```
Th4P5O23
1.0
6.338 0.019 -2.362
0.010 7.106 -0.101
0.923 0.021 11.043
O P Th
23 5 4
direct
0.871 0.795 0.504
0.031 0.583 0.128
0.641 0.925 0.688
0.016 0.429 0.664
0.605 0.246 0.499
0.861 0.423 0.918
0.661 0.246 0.281
0.324 0.752 0.708
0.664 0.331 0.915
0.974 0.910 0.315
0.011 0.086 0.691
0.629 0.744 0.290
0.048 0.713 0.921
0.391 0.774 0.497
0.631 0.582 0.663
0.361 0.428 0.326
0.077 0.219 0.490
0.995 0.053 0.102
0.347 0.238 0.696
0.978 0.570 0.360
0.106 0.201 0.082
0.351 0.082 0.318
0.703 0.737 0.981
0.118 0.243 0.631
0.855 0.755 0.366
0.505 0.250 0.358
0.898 0.635 0.993
0.489 0.760 0.639
0.001 0.263 0.274
0.282 0.751 0.287
0.688 0.262 0.718
0.989 0.751 0.711
```

Results
total energy after the MP2020 corrections = -258.6 eV per cell
energy relative to the elements = -2.75 eV/atom
calculated volume = 16.03 Å³ per atom

Crystalline K4EuP2S8 at its relaxed geometry. Source: the Materials Project, functional PBE.

The structure in POSCAR format:
```
K4EuP2S8
1.0
8.196 -0.014 -3.491
-1.820 8.684 -4.251
-0.015 -0.004 11.361
S P K Eu
16 4 8 2
direct
0.506 0.258 0.523
0.369 0.393 0.787
0.017 0.763 0.525
0.714 0.586 0.836
0.281 0.411 0.160
0.981 0.239 0.473
0.877 0.911 0.159
0.582 0.103 0.207
0.494 0.739 0.477
0.419 0.896 0.792
0.124 0.089 0.837
0.629 0.605 0.213
0.126 0.752 0.841
0.878 0.249 0.159
0.712 0.249 0.839
0.283 0.747 0.160
0.423 0.628 0.258
0.833 0.128 0.255
0.574 0.369 0.741
0.167 0.872 0.743
0.743 0.496 0.485
0.957 0.580 0.161
0.742 0.992 0.487
0.040 0.413 0.830
0.261 0.511 0.517
0.212 0.084 0.169
0.258 0.011 0.519
0.797 0.916 0.834
0.499 0.747 0.998
0.503 0.251 0.000
```

Results
total energy after the MP2020 corrections = -157.3 eV per cell
energy relative to the elements = -1.34 eV/atom
calculated volume = 26.92 Å³ per atom

Crystalline Ca3Mg at its relaxed geometry. Source: the Materials Project, functional PBE.

The structure in POSCAR format:
```
Ca3Mg
1.0
0.000 4.160 4.160
4.160 0.000 4.160
4.160 4.160 0.000
Ca Mg
3 1
direct
0.750 0.750 0.750
0.500 0.500 0.500
0.250 0.250 0.250
0.000 0.000 0.000
```

Results
energy relative to the elements = 0.02 eV/atom
calculated volume = 35.99 Å³ per atom

Crystalline K5C4Br at its relaxed geometry. Source: the Materials Project, functional PBE.

The structure in POSCAR format:
```
K5C4Br
1.0
-4.958 4.958 3.169
4.958 -4.958 3.169
4.958 4.958 -3.169
K Br C
5 1 4
direct
0.186 0.609 0.795
0.391 0.186 0.576
0.000 0.000 0.000
0.814 0.391 0.205
0.609 0.814 0.424
0.500 0.500 0.000
0.897 0.696 0.593
0.304 0.897 0.201
0.696 0.103 0.799
0.103 0.304 0.407
```

Results
total energy after the MP2020 corrections = -29.9 eV per cell
energy relative to the elements = 1.42 eV/atom
calculated volume = 31.17 Å³ per atom

Crystalline TiNiGe at its relaxed geometry. Source: the Materials Project, functional PBE.

The structure in POSCAR format:
```
TiNiGe
1.0
-0.722 2.971 -2.167
0.079 -3.674 -5.062
-7.032 -1.170 0.739
Ge Ni Ti
4 4 4
direct
0.750 0.243 0.622
0.250 0.757 0.378
0.250 0.257 0.122
0.750 0.743 0.878
0.250 0.139 0.441
0.750 0.861 0.559
0.750 0.361 0.941
0.250 0.639 0.059
0.750 0.974 0.186
0.250 0.526 0.686
0.250 0.026 0.814
0.750 0.474 0.314
```

Results
energy relative to the elements = -0.68 eV/atom
calculated volume = 14.00 Å³ per atom

Crystalline Co7NiP4 at its relaxed geometry. Source: the Materials Project, functional PBE.

The structure in POSCAR format:
```
Co7NiP4
1.0
-3.140 -1.424 -0.637
1.790 -4.858 2.035
-2.013 1.746 6.022
Ni Co P
1 7 4
direct
0.500 0.530 0.664
0.000 0.464 0.334
0.000 0.359 0.933
0.000 0.853 0.565
0.500 0.034 0.836
0.500 0.143 0.435
0.000 0.971 0.167
0.500 0.644 0.065
0.500 0.755 0.375
0.500 0.255 0.122
0.000 0.241 0.623
0.000 0.751 0.880
```

Results
energy relative to the elements = -0.54 eV/atom
calculated volume = 10.70 Å³ per atom

Crystalline YZn at its relaxed geometry. Source: the Materials Project, functional PBE.

The structure in POSCAR format:
```
YZn
1.0
-4.122 0.740 0.138
-2.123 0.697 -3.545
-2.694 -2.874 -1.429
Zn Y
1 1
direct
0.500 0.500 0.500
0.000 0.000 0.000
```

Results
energy relative to the elements = -0.09 eV/atom
calculated volume = 26.01 Å³ per atom